<P>
Y3In5: optimized geometry, PBE.

POSCAR file:
```
Y3In5
1.0
4.054 -4.957 0.000
4.054 4.957 0.000
0.000 0.000 10.434
Y In
6 10
Direct
0.624 0.624 0.250
0.376 0.376 0.750
0.203 0.797 0.500
0.203 0.797 0.000
0.797 0.203 0.500
0.797 0.203 0.000
0.008 0.008 0.250
0.992 0.992 0.750
0.308 0.308 0.045
0.692 0.692 0.955
0.308 0.308 0.455
0.692 0.692 0.545
0.511 0.078 0.250
0.922 0.489 0.750
0.489 0.922 0.750
0.078 0.511 0.250
```

Output
SG: Cmcm (63)

---

<Q>
Y3In5: optimized geometry, PBE.

POSCAR file:
```
Y3In5
1.0
6.804 0.000 0.000
0.000 10.973 0.000
0.000 0.000 12.714
Y In
12 20
Direct
0.347 0.750 0.056
0.153 0.750 0.556
0.653 0.250 0.944
0.847 0.250 0.444
0.892 0.497 0.143
0.608 0.003 0.643
0.108 0.997 0.857
0.392 0.503 0.357
0.108 0.503 0.857
0.392 0.997 0.357
0.892 0.003 0.143
0.608 0.497 0.643
0.620 0.750 0.503
0.880 0.750 0.003
0.380 0.250 0.497
0.120 0.250 0.997
0.651 0.750 0.249
0.849 0.750 0.749
0.349 0.250 0.751
0.151 0.250 0.251
0.126 0.750 0.288
0.374 0.750 0.788
0.874 0.250 0.712
0.626 0.250 0.212
0.876 0.545 0.403
0.624 0.955 0.903
0.124 0.045 0.597
0.376 0.455 0.097
0.124 0.455 0.597
0.376 0.045 0.097
0.876 0.955 0.403
0.624 0.545 0.903
```

Output
Size of the total moment in μB per atom: 0.002
SG: Pnma (62)

---

Relative energy of each structure, in meV/atom: <P> 0; <Q> 65.

---

<P>
La2Ir7: optimized geometry, PBE.

POSCAR file:
```
La2Ir7
1.0
2.699 -4.675 0.000
2.699 4.675 0.000
0.000 0.000 26.563
La Ir
8 28
Direct
0.333 0.667 0.471
0.667 0.333 0.529
0.667 0.333 0.971
0.333 0.667 0.029
0.333 0.667 0.326
0.667 0.333 0.674
0.667 0.333 0.826
0.333 0.667 0.174
0.000 0.000 0.500
0.000 0.000 0.000
0.832 0.168 0.250
0.832 0.664 0.250
0.336 0.168 0.250
0.168 0.832 0.750
0.168 0.336 0.750
0.664 0.832 0.750
0.834 0.166 0.413
0.834 0.669 0.413
0.331 0.166 0.413
0.166 0.834 0.587
0.166 0.331 0.587
0.669 0.834 0.587
0.166 0.834 0.913
0.166 0.331 0.913
0.669 0.834 0.913
0.834 0.166 0.087
0.834 0.669 0.087
0.331 0.166 0.087
0.000 0.000 0.332
0.000 0.000 0.668
0.000 0.000 0.832
0.000 0.000 0.168
0.333 0.667 0.667
0.667 0.333 0.333
0.667 0.333 0.167
0.333 0.667 0.833
```

Output
SG: P6_3/mmc (194)

---

<Q>
La2Ir7: optimized geometry, PBE.

POSCAR file:
```
La2Ir7
1.0
-3.569 -0.687 -13.047
-2.758 -5.924 -11.863
-7.512 -3.579 -10.687
La Ir
4 14
Direct
0.949 0.949 0.949
0.051 0.051 0.051
0.853 0.853 0.853
0.147 0.147 0.147
0.500 0.500 0.500
0.722 0.722 0.722
0.278 0.278 0.278
0.612 0.612 0.612
0.388 0.388 0.388
0.500 0.500 0.000
0.000 0.500 0.500
0.500 0.000 0.500
0.393 0.889 0.393
0.393 0.393 0.889
0.889 0.393 0.393
0.607 0.111 0.607
0.607 0.607 0.111
0.111 0.607 0.607
```

Output
Size of the total moment in μB per atom: 0.000
SG: R-3m (166)

---

Relative energy of each structure, in meV/atom: <P> 0; <Q> 5.